(1)
An optimized crystal structure of Zr6Ga16Os7. Source: the Materials Project, functional GGA-PBE.

CIF file:
```
data_Zr6Ga16Os7
_chemical_formula_sum 'Zr6 Ga16 Os7'
_space_group_name_H-M_alt 'P 1'
_space_group_IT_number 1
_space_group_name_Hall 'P 1'
_cell_length_a 8.811
_cell_length_b 8.811
_cell_length_c 8.811
_cell_angle_alpha 60.00
_cell_angle_beta 60.00
_cell_angle_gamma 60.00
loop_
_atom_site_label
_atom_site_type_symbol
_atom_site_fract_x
_atom_site_fract_y
_atom_site_fract_z
_atom_site_occupancy
Zr1 Zr 0.719 0.719 0.281 1
Zr2 Zr 0.281 0.719 0.281 1
Zr3 Zr 0.719 0.281 0.281 1
Zr4 Zr 0.281 0.281 0.719 1
Zr5 Zr 0.719 0.281 0.719 1
Zr6 Zr 0.281 0.719 0.719 1
Ga1 Ga 0.876 0.876 0.371 1
Ga2 Ga 0.876 0.371 0.876 1
Ga3 Ga 0.371 0.876 0.876 1
Ga4 Ga 0.876 0.876 0.876 1
Ga5 Ga 0.124 0.124 0.629 1
Ga6 Ga 0.124 0.629 0.124 1
Ga7 Ga 0.629 0.124 0.124 1
Ga8 Ga 0.124 0.124 0.124 1
Ga9 Ga 0.654 0.654 0.037 1
Ga10 Ga 0.654 0.037 0.654 1
Ga11 Ga 0.037 0.654 0.654 1
Ga12 Ga 0.654 0.654 0.654 1
Ga13 Ga 0.346 0.346 0.963 1
Ga14 Ga 0.346 0.963 0.346 1
Ga15 Ga 0.963 0.346 0.346 1
Ga16 Ga 0.346 0.346 0.346 1
Os1 Os 0.000 0.000 0.000 1
Os2 Os 0.000 0.000 0.500 1
Os3 Os 0.500 0.000 0.500 1
Os4 Os 0.000 0.500 0.500 1
Os5 Os 0.500 0.500 0.000 1
Os6 Os 0.000 0.500 0.000 1
Os7 Os 0.500 0.000 0.000 1
```

Computed properties:
Space group   No. 225
Uncorrected energy   -0.47702 Ry/atom
Formation energy from the elements   -7.9 kcal/mol of atoms

(2)
An optimized crystal structure of Eu2Zn5Ni5. Source: the Materials Project, functional GGA-PBE.

CIF file:
```
data_Eu2Zn5Ni5
_chemical_formula_sum 'Eu2 Zn5 Ni5'
_space_group_name_H-M_alt 'P 1'
_space_group_IT_number 1
_space_group_name_Hall 'P 1'
_cell_length_a 3.992
_cell_length_b 5.335
_cell_length_c 9.029
_cell_angle_alpha 90.00
_cell_angle_beta 90.00
_cell_angle_gamma 90.00
loop_
_atom_site_label
_atom_site_type_symbol
_atom_site_fract_x
_atom_site_fract_y
_atom_site_fract_z
_atom_site_occupancy
Eu1 Eu 0.000 0.500 0.000 1
Eu2 Eu 0.000 0.000 0.500 1
Zn1 Zn 0.500 0.000 0.000 1
Zn2 Zn 0.500 0.747 0.256 1
Zn3 Zn 0.500 0.253 0.744 1
Zn4 Zn 0.500 0.253 0.256 1
Zn5 Zn 0.500 0.747 0.744 1
Ni1 Ni 0.000 0.500 0.340 1
Ni2 Ni 0.000 0.000 0.834 1
Ni3 Ni 0.000 0.000 0.166 1
Ni4 Ni 0.000 0.500 0.660 1
Ni5 Ni 0.500 0.500 0.500 1
```

Computed properties:
Space group   No. 47
Uncorrected energy   -0.36276 Ry/atom
Formation energy from the elements   -6.8 kcal/mol of atoms

Question: The highest uncorrected energy belongs to which entry?
Answer: Eu2Zn5Ni5

Question: What is the formula in the first record?
Answer: Zr6Ga16Os7